# 1
Entry from the Materials Project: a relaxed AgSnS2 crystal (PBE).

Calculated values
Energy with MP2020 corrections in eV/atom: -4.230
E_form in meV/atom: -451
Electronic total energy in eV per atom: -3.978
Magnetization in μB per atom: 0.00
Theoretical density in g/cm³: 5.7

a b c (Å): 3.9201 3.9201 5.4805
angles (deg): 90.00 90.00 90.00
Last column: nearest neighbours and their distance in Å.
Fractional positions:
Ag  0.0000  0.0000  0.0000  6 S 2.74-2.77
Sn  0.5000  0.5000  0.5000  6 S 2.74-2.77
S  0.0000  0.0000  0.5000  2 Ag 2.74, 4 Sn 2.77
S  0.5000  0.5000  0.0000  2 Sn 2.74, 4 Ag 2.77

# 2
Entry from the Materials Project: a relaxed TaAg7S6 crystal (PBE).

Calculated values
Energy with MP2020 corrections in eV/atom: -4.476
E_form in meV/atom: -440
Energy relative to the lowest polymorph listed for this composition in meV/atom: 40
Electronic total energy in eV per atom: -4.260
Magnetization in μB per atom: 0.00
Theoretical density in g/cm³: 5.9

a b c (Å): 7.5361 7.6157 7.6199
angles (deg): 92.61 117.90 118.36
Last column: nearest neighbours and their distance in Å.
Fractional positions:
Ta  0.9836  0.4862  0.5054  4 S 2.27-2.35
Ag  0.8856  0.2622  0.8831  3 S 2.52-2.66
Ag  0.4537  0.1945  0.0877  4 S 2.57-2.81
Ag  0.0636  0.7183  0.0647  3 S 2.50-2.64
Ag  0.6165  0.6194  0.6756  4 S 2.56-2.73
Ag  0.0842  0.1843  0.3016  3 S 2.52-2.81
Ag  0.0926  0.9712  0.6195  2 S 2.51-2.52
Ag  0.4195  0.0174  0.4855  3 S 2.50-2.80
S  0.0060  0.0035  0.9637  5 Ag 2.50-2.69
S  0.5214  0.2859  0.7786  5 Ag 2.50-2.69
S  0.7484  0.1140  0.3698  1 Ta 2.34, 1 Ag 2.62
S  0.7292  0.6002  0.3861  1 Ta 2.30, 1 Ag 2.51
S  0.2157  0.5980  0.8647  1 Ta 2.27
S  0.2420  0.6129  0.3860  1 Ta 2.35, 3 Ag 2.56-2.62

# 3
Entry from the Materials Project: a relaxed TaAgS3 crystal (PBE).

Calculated values
Energy with MP2020 corrections in eV/atom: -6.380
E_form in meV/atom: -960
Electronic total energy in eV per atom: -6.078
Magnetization in μB per atom: 0.00
Theoretical density in g/cm³: 6.7

a b c (Å): 7.3787 7.3787 7.7856
angles (deg): 90.00 90.00 153.42
Last column: nearest neighbours and their distance in Å.
Fractional positions:
Ta  0.2629  0.7371  0.5107  8 S 2.54-2.65
Ta  0.7371  0.2629  0.0107  8 S 2.54-2.65
Ag  0.0030  0.9970  0.7560  2 S 2.45-2.46
Ag  0.9970  0.0030  0.2560  2 S 2.45-2.46
S  0.3257  0.6743  0.1906  3 Ta 2.54-2.65, 1 S 2.80
S  0.3254  0.6746  0.8308  3 Ta 2.54-2.65, 1 S 2.80
S  0.6746  0.3254  0.3308  3 Ta 2.54-2.65, 1 S 2.80
S  0.1044  0.8956  0.0109  2 Ag 2.45-2.46, 2 Ta 2.55
S  0.8956  0.1044  0.5109  2 Ag 2.45-2.46, 2 Ta 2.55
S  0.6743  0.3257  0.6906  3 Ta 2.54-2.65, 1 S 2.80

# 4
Entry from the Materials Project: a relaxed Ta2AgS4 crystal (PBE).

Calculated values
Energy with MP2020 corrections in eV/atom: -7.280
E_form in meV/atom: -1124
Electronic total energy in eV per atom: -6.992
Magnetization in μB per atom: 0.00
Theoretical density in g/cm³: 7.2

a b c (Å): 3.3809 3.3809 14.0088
angles (deg): 90.00 90.00 120.00
Last column: nearest neighbours and their distance in Å.
Fractional positions:
Ta  0.0000  0.0000  0.2427  6 S 2.47-2.51
Ta  0.0000  0.0000  0.7573  6 S 2.47-2.51
Ag  0.0000  0.0000  0.5000  6 S 2.81
S  0.6667  0.3333  0.3553  3 Ta 2.51
S  0.3333  0.6667  0.6447  3 Ta 2.51
S  0.3333  0.6667  0.8652  3 Ta 2.47
S  0.6667  0.3333  0.1348  3 Ta 2.47

# 5
Entry from the Materials Project: a relaxed Ta4AgS8 crystal (PBE).

Calculated values
Energy with MP2020 corrections in eV/atom: -7.691
E_form in meV/atom: -1279
Electronic total energy in eV per atom: -7.381
Theoretical density in g/cm³: 6.9

a b c (Å): 5.8074 6.7311 13.6318
angles (deg): 97.12 94.11 89.80
Last column: nearest neighbours and their distance in Å.
Fractional positions:
Ta  0.2098  0.0705  0.7744  6 S 2.47-2.51
Ta  0.2101  0.5671  0.7744  6 S 2.47-2.51
Ta  0.7137  0.3182  0.7736  6 S 2.47-2.52
Ta  0.7899  0.4329  0.2256  6 S 2.47-2.51
Ta  0.7154  0.8187  0.7746  6 S 2.47-2.50
Ta  0.7902  0.9295  0.2256  6 S 2.47-2.51
Ta  0.2863  0.6818  0.2264  6 S 2.47-2.52
Ta  0.2846  0.1813  0.2254  6 S 2.47-2.50
Ag  0.6693  0.2567  0.5244  4 S 2.46-2.67
Ag  0.3307  0.7433  0.4756  4 S 2.46-2.67
S  0.1383  0.9650  0.3428  3 Ta 2.48-2.52, 1 Ag 2.67
S  0.1029  0.9018  0.1111  3 Ta 2.47-2.48
S  0.1385  0.4564  0.3427  3 Ta 2.48-2.52, 1 Ag 2.67
S  0.1028  0.4040  0.1113  3 Ta 2.47-2.48
S  0.8972  0.5960  0.8887  3 Ta 2.47-2.48
S  0.8615  0.5436  0.6573  3 Ta 2.48-2.52, 1 Ag 2.67
S  0.6393  0.2103  0.3419  1 Ag 2.46, 3 Ta 2.50-2.51
S  0.6022  0.1533  0.1135  3 Ta 2.47
S  0.8971  0.0982  0.8889  3 Ta 2.47-2.48
S  0.8617  0.0350  0.6572  3 Ta 2.48-2.52, 1 Ag 2.67
S  0.6461  0.7107  0.3421  3 Ta 2.48-2.52, 1 Ag 2.66
S  0.6000  0.6532  0.1118  3 Ta 2.48
S  0.3978  0.8467  0.8865  3 Ta 2.47
S  0.3607  0.7897  0.6581  1 Ag 2.46, 3 Ta 2.50-2.51
S  0.4000  0.3468  0.8882  3 Ta 2.48
S  0.3539  0.2893  0.6579  3 Ta 2.48-2.52, 1 Ag 2.66

# 6
Entry from the Materials Project: a relaxed Ta4AgS8 crystal (PBE).

Calculated values
Energy with MP2020 corrections in eV/atom: -7.691
E_form in meV/atom: -1279
Electronic total energy in eV per atom: -7.381
Theoretical density in g/cm³: 6.8

a b c (Å): 3.3583 5.8294 13.7645
angles (deg): 81.43 90.00 90.00
Last column: nearest neighbours and their distance in Å.
Fractional positions:
Ta  0.5000  0.4327  0.2270  6 S 2.46-2.52
Ta  0.0000  0.9144  0.2273  6 S 2.47-2.51
Ta  0.5000  0.5884  0.7734  6 S 2.47-2.54
Ta  0.0000  0.0618  0.7731  6 S 2.46-2.52
Ag  0.5000  0.3467  0.4792  4 S 2.45-2.73
S  0.5000  0.2835  0.6595  1 Ag 2.45, 3 Ta 2.52-2.54
S  0.0000  0.7806  0.6557  3 Ta 2.47-2.48
S  0.5000  0.7213  0.3450  3 Ta 2.48-2.51, 1 Ag 2.64
S  0.0000  0.2122  0.3419  3 Ta 2.51-2.52, 2 Ag 2.73
S  0.5000  0.2069  0.8817  3 Ta 2.48-2.49
S  0.0000  0.6985  0.8897  3 Ta 2.46-2.47
S  0.5000  0.7987  0.1120  3 Ta 2.46-2.47
S  0.0000  0.2938  0.1167  3 Ta 2.48-2.49

# 7
Entry from the Materials Project: a relaxed TaAgS3 crystal (PBE).

Calculated values
Energy with MP2020 corrections in eV/atom: -6.380
E_form in meV/atom: -960
Electronic total energy in eV per atom: -6.078
Theoretical density in g/cm³: 6.7

a b c (Å): 7.3777 7.3777 7.7860
angles (deg): 90.00 90.00 153.42
Last column: nearest neighbours and their distance in Å.
Fractional positions:
Ta  0.7370  0.2630  0.7500  8 S 2.54-2.65
Ta  0.2630  0.7370  0.2500  8 S 2.54-2.65
Ag  0.0000  0.0000  0.5000  2 S 2.46
Ag  0.0000  0.0000  0.0000  2 S 2.46
S  0.3254  0.6746  0.9296  3 Ta 2.54-2.65, 1 S 2.80
S  0.6746  0.3254  0.0704  3 Ta 2.54-2.65, 1 S 2.80
S  0.6746  0.3254  0.4296  3 Ta 2.54-2.65, 1 S 2.80
S  0.3254  0.6746  0.5704  3 Ta 2.54-2.65, 1 S 2.80
S  0.1043  0.8957  0.7500  2 Ag 2.46, 2 Ta 2.55
S  0.8957  0.1043  0.2500  2 Ag 2.46, 2 Ta 2.55

# 8
Entry from the Materials Project: a relaxed TaAg7S6 crystal (PBE).

Calculated values
Energy with MP2020 corrections in eV/atom: -4.515
E_form in meV/atom: -479
Energy relative to the lowest polymorph listed for this composition in meV/atom: 0
Electronic total energy in eV per atom: -4.300
Magnetization in μB per atom: 0.00
Theoretical density in g/cm³: 6.1

a b c (Å): 7.4468 7.7062 13.0983
angles (deg): 54.51 90.00 90.00
Last column: nearest neighbours and their distance in Å.
Fractional positions:
Ta  0.2525  0.9991  0.0034  4 S 2.32
Ta  0.7475  0.9991  0.5034  4 S 2.32
Ag  0.6466  0.4491  0.8489  3 S 2.55-2.80
Ag  0.9126  0.9045  0.8025  4 S 2.62-2.76
Ag  0.4696  0.0579  0.2364  3 S 2.52-2.57
Ag  0.7123  0.9896  0.9701  3 S 2.52-2.69
Ag  0.1199  0.3657  0.7121  3 S 2.55-2.65
Ag  0.3534  0.4491  0.3489  3 S 2.55-2.80
Ag  0.0403  0.2637  0.5208  3 S 2.52-2.66
Ag  0.8801  0.3657  0.2121  3 S 2.55-2.65
Ag  0.5702  0.5282  0.5453  3 S 2.53-2.66
Ag  0.9597  0.2637  0.0208  3 S 2.52-2.66
Ag  0.2877  0.9896  0.4701  3 S 2.52-2.69
Ag  0.0874  0.9045  0.3025  4 S 2.62-2.76
Ag  0.4298  0.5282  0.0453  3 S 2.53-2.66
Ag  0.5304  0.0579  0.7364  3 S 2.52-2.57
S  0.7706  0.2861  0.7386  6 Ag 2.52-2.76
S  0.5122  0.8402  0.6455  1 Ta 2.32, 2 Ag 2.52-2.56
S  0.2407  0.5539  0.4896  5 Ag 2.52-2.63
S  0.4878  0.8402  0.1455  1 Ta 2.32, 2 Ag 2.52-2.56
S  0.7593  0.5539  0.9896  5 Ag 2.52-2.63
S  0.2607  0.3676  0.8887  1 Ta 2.32, 1 Ag 2.55
S  0.7484  0.8809  0.3762  1 Ta 2.32, 1 Ag 2.57
S  0.2516  0.8809  0.8762  1 Ta 2.32, 1 Ag 2.57
S  0.9957  0.8615  0.1252  1 Ta 2.32, 1 Ag 2.57
S  0.2294  0.2861  0.2386  6 Ag 2.52-2.76
S  0.7393  0.3676  0.3887  1 Ta 2.32, 1 Ag 2.55
S  0.0043  0.8615  0.6252  1 Ta 2.32, 1 Ag 2.57